Version a
A plane-wave DFT calculation with PBE was carried out for crystalline Ta2TiO6 at its relaxed geometry.

a b c (Å): 9.0871 6.8618 7.4296
angles (deg): 90.00 114.74 90.00
With the nearest neighbours (Å) after each atom.
Space group C2/m (No. 12)
Symmetry-distinct sites (fractional):
Ta1 0.0000 0.0000 0.0000 [2 per cell]  6 O 2.00-2.06
Ta2 0.0000 0.0000 0.5000 [2 per cell]  6 O 2.02-2.11
Ta3 0.1789 0.5000 0.1785 [4 per cell]  6 O 1.98-2.12
Ti1 0.1533 0.5000 0.6525 [4 per cell]  6 O 1.97-2.16
O1 0.0000 0.2998 0.0000 [4 per cell]  3 Ta 2.06-2.12
O2 0.0675 0.5000 0.3588 [4 per cell]  2 Ti 1.97-1.99, 1 Ta 1.99
O3 0.0948 0.0000 0.2972 [4 per cell]  2 Ta 2.01-2.02, 1 Ti 2.16
O4 0.1706 0.2109 0.6715 [8 per cell]  2 Ta 1.98-2.11, 1 Ti 1.99
O5 0.2289 0.0000 0.0296 [4 per cell]  2 Ta 2.00-2.04, 1 Ti 2.15

***

Version b
A plane-wave DFT calculation with PBE was carried out for crystalline Ta2TiO6 at its relaxed geometry.

a b c (Å): 9.1447 6.8477 7.4716
angles (deg): 90.00 114.35 90.00
With the nearest neighbours (Å) after each atom.
Space group C2/m (No. 12)
Symmetry-distinct sites (fractional):
Ta1 0.1712 0.0000 0.1715 [4 per cell]  6 O 2.00-2.08
Ta2 0.1786 0.0000 0.6732 [4 per cell]  6 O 1.95-2.12
Ti1 0.0000 0.5000 0.0000 [2 per cell]  6 O 2.08-2.10
Ti2 0.0000 0.5000 0.5000 [2 per cell]  6 O 2.03-2.10
O1 0.0000 0.1936 0.0000 [4 per cell]  2 Ta 2.05, 1 Ti 2.10
O2 0.0657 0.0000 0.3708 [4 per cell]  3 Ta 2.06-2.12
O3 0.1017 0.5000 0.3051 [4 per cell]  1 Ta 1.95, 2 Ti 2.03-2.08
O4 0.1715 0.2963 0.6715 [8 per cell]  2 Ta 2.00-2.03, 1 Ti 2.10
O5 0.2388 0.5000 0.0336 [4 per cell]  2 Ta 2.00-2.02, 1 Ti 2.09

***

Which is the most stable structure? version a is the most stable.

***

Version a
A plane-wave DFT calculation with PBE was carried out for crystalline Tm3TaO7 at its relaxed geometry.

Values from the calculation:
- largest piezoelectric modulus (C/m²) = 0.3

a b c (Å): 7.4258 10.4363 7.4119
angles (deg): 90.00 90.00 90.00
With the nearest neighbours (Å) after each atom.
Space group C222_1 (No. 20)
Symmetry-distinct sites (fractional):
Tm1 0.0273 0.0000 0.0000 [4 per cell]  6 O 2.30-2.37
Tm2 0.2324 0.2665 0.7544 [8 per cell]  7 O 2.18-2.41
Ta1 0.0031 0.5000 0.0000 [4 per cell]  6 O 1.95-2.03
O1 0.0000 0.1293 0.2500 [4 per cell]  4 Tm 2.27-2.30
O2 0.0000 0.1393 0.7500 [4 per cell]  4 Tm 2.18-2.36
O3 0.0000 0.4282 0.7500 [4 per cell]  2 Ta 2.00
O4 0.1891 0.3714 0.0391 [8 per cell]  1 Ta 1.95
O5 0.2061 0.3767 0.4709 [8 per cell]  1 Ta 2.03, 1 Tm 2.24

***

Version b
A plane-wave DFT calculation with PBE was carried out for crystalline Tm3TaO7 at its relaxed geometry.

a b c (Å): 10.4747 7.3076 7.4287
angles (deg): 90.00 90.00 90.00
With the nearest neighbours (Å) after each atom.
Space group Cmcm (No. 63)
Symmetry-distinct sites (fractional):
Tm1 0.0000 0.0000 0.0000 [4 per cell]  4 O 2.33
Tm2 0.2308 0.2833 0.2500 [8 per cell]  6 O 2.18-2.38
Ta1 0.0000 0.5000 0.0000 [4 per cell]  6 O 1.96-1.99
O1 0.0000 0.4140 0.2500 [4 per cell]  2 Ta 1.96
O2 0.1306 0.3058 0.5367 [16 per cell]  1 Ta 1.99
O3 0.1332 0.0198 0.2500 [8 per cell]  4 Tm 2.18-2.33

***

Version c
A plane-wave DFT calculation with PBE was carried out for crystalline Tm3TaO7 at its relaxed geometry.

a b c (Å): 7.3810 10.4580 7.4866
angles (deg): 90.00 90.00 90.00
With the nearest neighbours (Å) after each atom.
Space group Pnma (No. 62)
Symmetry-distinct sites (fractional):
Tm1 0.0149 0.2500 0.2029 [4 per cell]  6 O 2.28-2.38
Tm2 0.2476 0.0198 0.5301 [8 per cell]  6 O 2.21-2.40
Ta1 0.0017 0.2500 0.7486 [4 per cell]  6 O 1.94-2.05
O1 0.0376 0.1237 0.9552 [8 per cell]  1 Ta 2.05, 2 Tm 2.25-2.28
O2 0.0400 0.6106 0.4168 [8 per cell]  1 Ta 1.94
O3 0.2437 0.6158 0.7675 [8 per cell]  4 Tm 2.21-2.38
O4 0.2493 0.2500 0.6602 [4 per cell]  2 Ta 1.94-1.98

***

Which is the most stable structure? version a is the most stable.

***

Version a
A plane-wave DFT calculation with PBE was carried out for crystalline Y3TaO7 at its relaxed geometry.

a b c (Å): 7.4661 10.5779 7.5376
angles (deg): 90.00 90.00 90.00
With the nearest neighbours (Å) after each atom.
Space group Cmcm (No. 63)
Symmetry-distinct sites (fractional):
Y1 0.0000 0.0000 0.0000 [4 per cell]  4 O 2.33-2.38
Y2 0.2331 0.2670 0.2500 [8 per cell]  6 O 2.21-2.42
Ta1 0.0000 0.5000 0.0000 [4 per cell]  6 O 1.99-2.00
O1 0.0000 0.1290 0.7500 [4 per cell]  4 Y 2.28-2.33
O2 0.0000 0.1382 0.2500 [4 per cell]  4 Y 2.21-2.38
O3 0.0000 0.4362 0.2500 [4 per cell]  2 Ta 2.00
O4 0.1968 0.3753 0.5309 [16 per cell]  1 Ta 1.99

***

Version b
A plane-wave DFT calculation with PBE was carried out for crystalline Y3TaO7 at its relaxed geometry.

a b c (Å): 7.4775 14.5210 5.3752
angles (deg): 90.00 90.00 90.00
With the nearest neighbours (Å) after each atom.
Space group Cmme (No. 67)
Symmetry-distinct sites (fractional):
Y1 0.0000 0.1193 0.0284 [8 per cell]  4 O 2.10-2.27
Y2 0.2500 0.2500 0.5000 [4 per cell]  6 O 2.28-2.29
Ta1 0.2500 0.0000 0.5000 [4 per cell]  8 O 2.16-2.19
O1 0.0000 0.0118 0.2884 [8 per cell]  1 Y 2.10, 2 Ta 2.19, 1 O 2.30
O2 0.0000 0.2500 0.2566 [4 per cell]  4 Y 2.26-2.28
O3 0.2190 0.1193 0.7356 [16 per cell]  1 Ta 2.16, 2 Y 2.27-2.29

***

Version c
A plane-wave DFT calculation with PBE was carried out for crystalline Y3TaO7 at its relaxed geometry.

Values from the calculation:
- largest piezoelectric modulus (C/m²) = 0.3

a b c (Å): 7.6155 10.5871 7.4865
angles (deg): 90.00 90.00 90.00
With the nearest neighbours (Å) after each atom.
Space group C222_1 (No. 20)
Symmetry-distinct sites (fractional):
Y1 0.0386 0.0000 0.0000 [4 per cell]  6 O 2.33-2.41
Y2 0.2327 0.2676 0.7594 [8 per cell]  7 O 2.23-2.49
Ta1 0.0021 0.5000 0.0000 [4 per cell]  6 O 1.94-2.05
O1 0.0000 0.1286 0.2500 [4 per cell]  4 Y 2.31-2.33
O2 0.0000 0.1402 0.7500 [4 per cell]  4 Y 2.23-2.41
O3 0.0000 0.4329 0.7500 [4 per cell]  2 Ta 2.00
O4 0.1765 0.3709 0.0450 [8 per cell]  1 Ta 1.94
O5 0.2050 0.3772 0.4766 [8 per cell]  1 Ta 2.05, 1 Y 2.29

***

Version d
A plane-wave DFT calculation with PBE was carried out for crystalline Y3TaO7 at its relaxed geometry.

Values from the calculation:
- largest piezoelectric modulus (C/m²) = 3.1

a b c (Å): 5.5577 7.5906 8.1706
angles (deg): 63.98 89.58 89.56
With the nearest neighbours (Å) after each atom.
Space group P1 (No. 1)
Symmetry-distinct sites (fractional):
Y1 0.0000 0.0000 0.0000 [1 per cell]  3 O 2.15-2.34
Y2 0.0079 0.6579 0.4625 [1 per cell]  5 O 2.16-2.34
Y3 0.0430 0.1577 0.4565 [1 per cell]  5 O 2.18-2.37
Y4 0.0658 0.4994 0.9975 [1 per cell]  4 O 2.17-2.39
Y5 0.5223 0.0761 0.2389 [1 per cell]  6 O 2.17-2.41
Y6 0.5370 0.5746 0.2406 [1 per cell]  6 O 2.19-2.39
Ta1 0.5233 0.8570 0.7500 [1 per cell]  4 O 1.88-1.94
Ta2 0.5379 0.3571 0.7437 [1 per cell]  4 O 1.88-1.95
O1 0.1952 0.7264 0.1187 [1 per cell]  2 Y 2.15-2.22
O2 0.2116 0.9210 0.3987 [1 per cell]  3 Y 2.16-2.24
O3 0.2333 0.0025 0.7346 [1 per cell]  1 Ta 1.92
O4 0.3163 0.3309 0.2415 [1 per cell]  4 Y 2.22-2.31
O5 0.3302 0.2229 0.9512 [1 per cell]  1 Ta 1.93
O6 0.3483 0.4538 0.5326 [1 per cell]  1 Ta 1.88
O7 0.3652 0.6189 0.7758 [1 per cell]  1 Ta 1.94
O8 0.6930 0.1108 0.7834 [1 per cell]  1 Ta 1.95
O9 0.7060 0.9466 0.5348 [1 per cell]  1 Ta 1.88
O10 0.7305 0.7148 0.9548 [1 per cell]  1 Ta 1.93
O11 0.7430 0.8309 0.2381 [1 per cell]  4 Y 2.22-2.30
O12 0.8252 0.4952 0.7415 [1 per cell]  1 Ta 1.91
O13 0.8341 0.4160 0.4197 [1 per cell]  3 Y 2.18-2.24
O14 0.8674 0.2283 0.1322 [1 per cell]  2 Y 2.17-2.21

***

Which is the most stable structure? version c is the most stable.

***

Version a
A plane-wave DFT calculation with PBE was carried out for crystalline Ta2ZnO6 at its relaxed geometry.

a b c (Å): 4.7616 17.3628 5.1156
angles (deg): 90.00 90.00 90.00
With the nearest neighbours (Å) after each atom.
Space group Pbcn (No. 60)
Symmetry-distinct sites (fractional):
Ta1 0.0000 0.0558 0.2500 [4 per cell]  6 O 1.95-2.10
Ta2 0.0000 0.2808 0.7500 [4 per cell]  6 O 1.95-2.07
Zn1 0.0000 0.3982 0.2500 [4 per cell]  4 O 1.99-2.15
O1 0.2168 0.0354 0.5720 [8 per cell]  2 Ta 1.98-2.10, 1 Zn 1.99
O2 0.2297 0.3719 0.6011 [8 per cell]  2 Ta 1.95-2.07, 1 Zn 2.15
O3 0.2401 0.2882 0.0722 [8 per cell]  2 Ta 1.95-2.01

***

Version b
A plane-wave DFT calculation with PBE was carried out for crystalline Ta2ZnO6 at its relaxed geometry.

a b c (Å): 7.6860 5.4715 5.2935
angles (deg): 90.00 90.00 90.00
With the nearest neighbours (Å) after each atom.
Space group Pmn2_1 (No. 31)
Symmetry-distinct sites (fractional):
Ta1 0.2486 0.2463 0.0000 [4 per cell]  6 O 1.94-2.06
Zn1 0.0000 0.7138 0.0015 [2 per cell]  3 O 2.03-2.07
O1 0.0000 0.2921 0.9213 [2 per cell]  2 Ta 1.97
O2 0.0000 0.7789 0.6247 [2 per cell]  1 Zn 2.03, 2 Ta 2.05
O3 0.1878 0.9305 0.1698 [4 per cell]  2 Ta 2.00-2.06, 1 Zn 2.07
O4 0.2066 0.4623 0.2845 [4 per cell]  2 Ta 1.94-1.99

***

Which is the most stable structure? version a is the most stable.